Entry 1:
This record from the Materials Project describes an optimized crystal structure of Mg4SiGe. The functional is GGA-PBE.

Cell: 7.824 7.824 7.824 Å, 33.59 33.59 33.59°
Fractional positions:
Mg: 0.375 0.375 0.375
Mg: 0.625 0.625 0.625
Si: 0.000 0.000 0.000
Mg: 0.125 0.125 0.125
Mg: 0.875 0.875 0.875
Ge: 0.500 0.500 0.500

**ΔH_f (0 K)**: -0.20 eV/atom
**Energy relative to the lowest polymorph listed for this composition**: 0.0129 eV per atom


Entry 2:
This record from the Materials Project describes an optimized crystal structure of MgZnS2. The functional is GGA-PBE.

Cell: 3.941 3.941 5.568 Å, 90.00 90.00 90.00°
Fractional positions:
S: 0.500 0.000 0.762
Mg: 0.500 0.500 0.500
S: 0.000 0.500 0.238
Zn: 0.000 0.000 0.000

**ΔH_f (0 K)**: -1.35 eV/atom